The following is a DFT calculation (PBE) of an optimized crystal structure of La4Ti3O12.

```
La4Ti3O12
1.0
2.801 1.617 8.790
-2.801 1.617 8.790
0.000 -3.234 8.790
La Ti O
4 3 12
Direct
0.134 0.134 0.134
0.287 0.287 0.287
0.713 0.713 0.713
0.866 0.866 0.866
0.000 0.000 0.000
0.424 0.424 0.424
0.576 0.576 0.576
0.117 0.698 0.553
0.143 0.272 0.709
0.272 0.709 0.143
0.291 0.857 0.728
0.302 0.447 0.883
0.447 0.883 0.302
0.553 0.117 0.698
0.698 0.553 0.117
0.709 0.143 0.272
0.728 0.291 0.857
0.857 0.728 0.291
0.883 0.302 0.447
```

Calculated values
Spin magnetization   0.0 μB per formula unit
Energy above the most stable polymorph in this dataset   0 meV per atom
Formation energy   -3.78 eV per atom